[1]
# Li3V2F12 (PBE with a Hubbard U, optimized geometry)
# ΔE to the lowest computed polymorph   82 meV/atom
# VASP energy   -0.1908 Ha/atom
data_Li3V2F12
_cell_length_a 5.3182
_cell_length_b 10.5285
_cell_length_c 10.4835
_cell_angle_alpha 90.00
_cell_angle_beta 99.79
_cell_angle_gamma 90.00
_space_group_name_H-M_alt 'P 1 21/c 1'
_space_group_IT_number 14
loop_
_space_group_symop_operation_xyz
'x,y,z'
'-x,-y,-z'
'-x,y+1/2,-z+1/2'
'x,-y+1/2,z+1/2'
loop_
_atom_site_label
_atom_site_fract_x
_atom_site_fract_y
_atom_site_fract_z
Li1 0.0000 0.0000 0.0000
Li2 0.3965 0.1732 0.3788
V1 0.2590 0.6496 0.8079
F1 0.0027 0.0880 0.6279
F2 0.0832 0.7069 0.2496
F3 0.1469 0.5731 0.6436
F4 0.3956 0.7259 0.9654
F5 0.4357 0.0016 0.3568
F6 0.4587 0.2085 0.7568


[2]
# Li2VF4 (PBE with a Hubbard U, optimized geometry)
# ΔE to the lowest computed polymorph   32 meV/atom
# VASP energy   -0.2012 Ha/atom
data_Li2VF4
_cell_length_a 12.4739
_cell_length_b 12.4739
_cell_length_c 11.8067
_cell_angle_alpha 90.00
_cell_angle_beta 90.00
_cell_angle_gamma 120.00
_space_group_name_H-M_alt 'R -3'
_space_group_IT_number 148
_space_group_name_Hall '-R 3'
loop_
_atom_site_label
_atom_site_fract_x
_atom_site_fract_y
_atom_site_fract_z
Li1 0.0375 0.2438 0.0743
Li2 0.0473 0.1824 0.4255
V1 0.0566 0.2083 0.7633
F1 0.0101 0.3765 0.0828
F2 0.0401 0.1605 0.5915
F3 0.0442 0.1596 0.2079
F4 0.0647 0.5200 0.6020


[3]
# LiVF6 (PBE with a Hubbard U, optimized geometry)
# VASP energy   -0.1919 Ha/atom
data_LiVF6
_cell_length_a 9.3009
_cell_length_b 5.4664
_cell_length_c 5.3659
_cell_angle_alpha 90.00
_cell_angle_beta 125.15
_cell_angle_gamma 90.00
_space_group_name_H-M_alt 'C 1 2/m 1'
_space_group_IT_number 12
loop_
_space_group_symop_operation_xyz
'x,y,z'
'-x,-y,-z'
'-x,y,-z'
'x,-y,z'
'x+1/2,y+1/2,z'
'-x+1/2,-y+1/2,-z'
'-x+1/2,y+1/2,-z'
'x+1/2,-y+1/2,z'
loop_
_atom_site_label
_atom_site_fract_x
_atom_site_fract_y
_atom_site_fract_z
Li1 0.0000 0.0000 0.0000
V1 0.0000 0.5000 0.5000
F1 0.0340 0.2654 0.2999
F2 0.2337 0.5000 0.8016